Record 1
# YMg3 meta-GGA r2SCAN relaxed
data_YMg3
_chemical_formula_sum 'Y2 Mg6'
_space_group_name_H-M_alt 'P 1'
_space_group_IT_number 1
_cell_length_a 6.685
_cell_length_b 6.685
_cell_length_c 5.167
_cell_angle_alpha 90.00
_cell_angle_beta 90.00
_cell_angle_gamma 120.00
loop_
_space_group_symop_operation_xyz
'x,y,z'
loop_
_atom_site_label
_atom_site_type_symbol
_atom_site_fract_x
_atom_site_fract_y
_atom_site_fract_z
Y1 Y 0.333 0.667 0.250
Y2 Y 0.667 0.333 0.750
Mg1 Mg 0.163 0.325 0.750
Mg2 Mg 0.163 0.837 0.750
Mg3 Mg 0.325 0.163 0.250
Mg4 Mg 0.675 0.837 0.750
Mg5 Mg 0.837 0.163 0.250
Mg6 Mg 0.837 0.675 0.250
# Energy of formation from the pure elements ... -0.078 eV/atom
# V ... 25.00 Å³/atom
# Symmetry ... No. 194

---

Record 2
# MnP2O7 meta-GGA r2SCAN relaxed
data_MnP2O7
_chemical_formula_sum 'Mn4 P8 O28'
_space_group_name_H-M_alt 'P 1'
_space_group_IT_number 1
_cell_length_a 7.015
_cell_length_b 7.668
_cell_length_c 9.277
_cell_angle_alpha 90.00
_cell_angle_beta 113.19
_cell_angle_gamma 90.00
loop_
_space_group_symop_operation_xyz
'x,y,z'
loop_
_atom_site_label
_atom_site_type_symbol
_atom_site_fract_x
_atom_site_fract_y
_atom_site_fract_z
Mn1 Mn 0.000 0.000 0.000
Mn2 Mn 0.000 0.500 0.500
Mn3 Mn 0.500 0.000 0.500
Mn4 Mn 0.500 0.500 0.000
P1 P 0.068 0.176 0.319
P2 P 0.068 0.324 0.819
P3 P 0.345 0.746 0.208
P4 P 0.345 0.754 0.708
P5 P 0.655 0.246 0.292
P6 P 0.655 0.254 0.792
P7 P 0.932 0.676 0.181
P8 P 0.932 0.824 0.681
O1 O 0.064 0.178 0.154
O2 O 0.064 0.322 0.654
O3 O 0.110 0.140 0.885
O4 O 0.110 0.360 0.385
O5 O 0.155 0.623 0.191
O6 O 0.155 0.877 0.691
O7 O 0.210 0.037 0.424
O8 O 0.210 0.463 0.924
O9 O 0.262 0.600 0.599
O10 O 0.262 0.900 0.099
O11 O 0.454 0.704 0.879
O12 O 0.454 0.796 0.379
O13 O 0.493 0.634 0.165
O14 O 0.493 0.866 0.665
O15 O 0.507 0.134 0.335
O16 O 0.507 0.366 0.835
O17 O 0.546 0.204 0.621
O18 O 0.546 0.296 0.121
O19 O 0.738 0.100 0.901
O20 O 0.738 0.400 0.401
O21 O 0.790 0.537 0.076
O22 O 0.790 0.963 0.576
O23 O 0.845 0.123 0.309
O24 O 0.845 0.377 0.809
O25 O 0.890 0.640 0.615
O26 O 0.890 0.860 0.115
O27 O 0.936 0.678 0.346
O28 O 0.936 0.822 0.846
# Energy of formation from the pure elements ... -2.254 eV/atom
# V ... 11.47 Å³/atom
# E above lowest polymorph ... 0.001 eV per atom
# Symmetry ... No. 14

---

Record 3
# KGdF4 meta-GGA r2SCAN relaxed
data_KGdF4
_chemical_formula_sum 'K4 Gd4 F16'
_space_group_name_H-M_alt 'P 1'
_space_group_IT_number 1
_cell_length_a 6.134
_cell_length_b 3.643
_cell_length_c 15.381
_cell_angle_alpha 90.00
_cell_angle_beta 90.00
_cell_angle_gamma 90.00
loop_
_space_group_symop_operation_xyz
'x,y,z'
loop_
_atom_site_label
_atom_site_type_symbol
_atom_site_fract_x
_atom_site_fract_y
_atom_site_fract_z
K1 K 0.224 0.250 0.202
K2 K 0.276 0.750 0.702
K3 K 0.724 0.250 0.298
K4 K 0.776 0.750 0.798
Gd1 Gd 0.249 0.750 0.440
Gd2 Gd 0.251 0.250 0.940
Gd3 Gd 0.749 0.750 0.060
Gd4 Gd 0.751 0.250 0.560
F1 F 0.004 0.250 0.058
F2 F 0.091 0.250 0.809
F3 F 0.106 0.250 0.367
F4 F 0.136 0.250 0.537
F5 F 0.364 0.750 0.037
F6 F 0.394 0.750 0.867
F7 F 0.409 0.750 0.309
F8 F 0.496 0.750 0.558
F9 F 0.504 0.250 0.442
F10 F 0.591 0.250 0.691
F11 F 0.606 0.250 0.133
F12 F 0.636 0.250 0.963
F13 F 0.864 0.750 0.463
F14 F 0.894 0.750 0.633
F15 F 0.909 0.750 0.191
F16 F 0.996 0.750 0.942
# Energy of formation from the pure elements ... -3.961 eV/atom
# V ... 14.32 Å³/atom
# Symmetry ... No. 62

---

Record 4
# Bi3SbO7 meta-GGA r2SCAN relaxed
data_Bi3SbO7
_chemical_formula_sum 'Bi6 Sb2 O14'
_space_group_name_H-M_alt 'P 1'
_space_group_IT_number 1
_cell_length_a 6.616
_cell_length_b 6.969
_cell_length_c 7.612
_cell_angle_alpha 73.62
_cell_angle_beta 89.42
_cell_angle_gamma 76.33
loop_
_space_group_symop_operation_xyz
'x,y,z'
loop_
_atom_site_label
_atom_site_type_symbol
_atom_site_fract_x
_atom_site_fract_y
_atom_site_fract_z
Bi1 Bi 0.018 0.490 0.245
Bi2 Bi 0.234 0.010 0.621
Bi3 Bi 0.241 0.962 0.129
Bi4 Bi 0.759 0.038 0.871
Bi5 Bi 0.766 0.990 0.379
Bi6 Bi 0.982 0.510 0.755
Sb1 Sb 0.500 0.500 0.000
Sb2 Sb 0.500 0.500 0.500
O1 O 0.030 0.160 0.862
O2 O 0.032 0.125 0.318
O3 O 0.222 0.453 0.554
O4 O 0.226 0.439 0.978
O5 O 0.388 0.800 0.882
O6 O 0.393 0.801 0.463
O7 O 0.406 0.572 0.231
O8 O 0.594 0.428 0.769
O9 O 0.607 0.199 0.537
O10 O 0.612 0.200 0.118
O11 O 0.774 0.561 0.022
O12 O 0.778 0.547 0.446
O13 O 0.968 0.875 0.682
O14 O 0.970 0.840 0.138
# Energy of formation from the pure elements ... -1.468 eV/atom
# V ... 14.84 Å³/atom
# Symmetry ... No. 2

---

Record 5
# Ca2NbGaO6 meta-GGA r2SCAN relaxed
data_Ca2NbGaO6
_chemical_formula_sum 'Ca2 Nb1 Ga1 O6'
_space_group_name_H-M_alt 'P 1'
_space_group_IT_number 1
_cell_length_a 5.537
_cell_length_b 5.537
_cell_length_c 5.537
_cell_angle_alpha 60.00
_cell_angle_beta 60.00
_cell_angle_gamma 60.00
loop_
_space_group_symop_operation_xyz
'x,y,z'
loop_
_atom_site_label
_atom_site_type_symbol
_atom_site_fract_x
_atom_site_fract_y
_atom_site_fract_z
Ca1 Ca 0.250 0.250 0.250
Ca2 Ca 0.750 0.750 0.750
Nb1 Nb 0.000 0.000 0.000
Ga1 Ga 0.500 0.500 0.500
O1 O 0.253 0.253 0.747
O2 O 0.253 0.747 0.253
O3 O 0.253 0.747 0.747
O4 O 0.747 0.253 0.253
O5 O 0.747 0.253 0.747
O6 O 0.747 0.747 0.253
# Energy of formation from the pure elements ... -2.829 eV/atom
# V ... 12.00 Å³/atom
# Symmetry ... No. 225

---

Record 6
# UAl7Cu5 meta-GGA r2SCAN relaxed
data_UAl7Cu5
_chemical_formula_sum 'U1 Al7 Cu5'
_space_group_name_H-M_alt 'P 1'
_space_group_IT_number 1
_cell_length_a 6.633
_cell_length_b 6.633
_cell_length_c 5.085
_cell_angle_alpha 112.47
_cell_angle_beta 112.47
_cell_angle_gamma 82.04
loop_
_space_group_symop_operation_xyz
'x,y,z'
loop_
_atom_site_label
_atom_site_type_symbol
_atom_site_fract_x
_atom_site_fract_y
_atom_site_fract_z
U1 U 0.000 0.000 0.000
Al1 Al 0.218 0.796 0.507
Al2 Al 0.341 0.646 0.994
Al3 Al 0.346 0.346 0.346
Al4 Al 0.646 0.341 0.994
Al5 Al 0.651 0.651 0.651
Al6 Al 0.774 0.774 0.274
Al7 Al 0.796 0.218 0.507
Cu1 Cu 0.000 0.504 0.003
Cu2 Cu 0.000 0.504 0.501
Cu3 Cu 0.229 0.229 0.730
Cu4 Cu 0.504 0.000 0.003
Cu5 Cu 0.504 0.000 0.501
# Energy of formation from the pure elements ... -0.300 eV/atom
# V ... 14.69 Å³/atom
# Symmetry ... No. 8

---

Record 7
# YbCd2As2 meta-GGA r2SCAN relaxed
data_YbCd2As2
_chemical_formula_sum 'Yb1 Cd2 As2'
_space_group_name_H-M_alt 'P 1'
_space_group_IT_number 1
_cell_length_a 4.509
_cell_length_b 4.509
_cell_length_c 6.612
_cell_angle_alpha 90.00
_cell_angle_beta 90.00
_cell_angle_gamma 120.00
loop_
_space_group_symop_operation_xyz
'x,y,z'
loop_
_atom_site_label
_atom_site_type_symbol
_atom_site_fract_x
_atom_site_fract_y
_atom_site_fract_z
Yb1 Yb 0.000 0.000 0.000
Cd1 Cd 0.333 0.667 0.649
Cd2 Cd 0.667 0.333 0.351
As1 As 0.333 0.667 0.226
As2 As 0.667 0.333 0.774
# Energy of formation from the pure elements ... -0.540 eV/atom
# V ... 23.28 Å³/atom
# Symmetry ... No. 164

---

Record 8
# TmAlGa meta-GGA r2SCAN relaxed
data_TmAlGa
_chemical_formula_sum 'Tm1 Al1 Ga1'
_space_group_name_H-M_alt 'P 1'
_space_group_IT_number 1
_cell_length_a 4.401
_cell_length_b 4.401
_cell_length_c 3.472
_cell_angle_alpha 90.00
_cell_angle_beta 90.00
_cell_angle_gamma 120.00
loop_
_space_group_symop_operation_xyz
'x,y,z'
loop_
_atom_site_label
_atom_site_type_symbol
_atom_site_fract_x
_atom_site_fract_y
_atom_site_fract_z
Tm1 Tm 0.000 0.000 0.000
Al1 Al 0.333 0.667 0.500
Ga1 Ga 0.667 0.333 0.500
# Energy of formation from the pure elements ... -0.627 eV/atom
# V ... 19.41 Å³/atom
# Symmetry ... No. 187

---

Record 9
# AgTe3 meta-GGA r2SCAN relaxed
data_AgTe3
_chemical_formula_sum 'Ag1 Te3'
_space_group_name_H-M_alt 'P 1'
_space_group_IT_number 1
_cell_length_a 5.286
_cell_length_b 5.286
_cell_length_c 5.286
_cell_angle_alpha 109.43
_cell_angle_beta 109.43
_cell_angle_gamma 109.43
loop_
_space_group_symop_operation_xyz
'x,y,z'
loop_
_atom_site_label
_atom_site_type_symbol
_atom_site_fract_x
_atom_site_fract_y
_atom_site_fract_z
Ag1 Ag 0.000 0.000 0.000
Te1 Te 0.002 0.502 0.502
Te2 Te 0.502 0.002 0.502
Te3 Te 0.502 0.502 0.002
# Energy of formation from the pure elements ... -0.017 eV/atom
# V ... 28.47 Å³/atom
# Symmetry ... No. 160

---

| no. | M_tot (μB/f.u.) | uncorrected energy (eV per atom) |
| --- | --- | --- |
| 1 | 0.0 | -8.283 |
| 2 | 3.0 | -9.704 |
| 3 | 7.0 | -14.281 |
| 4 | 0.0 | -23.561 |
| 5 | 0.0 | -11.438 |
| 6 | 2.7 | -14.247 |
| 7 | 0.0 | -21.771 |
| 8 | 0.0 | -18.393 |
| 9 | 0.0 | -24.419 |